No. 1
## LiVS2O8 (PBE with a Hubbard U)

Data for a relaxed structure of LiVS2O8.

Cell: 8.394 8.410 9.002 Å, 90.32 117.38 119.83°
Fractional positions:
Li 0.000 0.000 0.000
Li 0.139 0.748 0.091
Li 0.370 0.376 0.092
V 0.044 0.512 0.529
V 0.625 0.302 0.903
V 0.625 0.810 0.403
S 0.117 0.411 0.208
S 0.126 0.204 0.713
S 0.537 0.903 0.711
S 0.548 0.125 0.209
S 0.823 0.686 0.212
S 0.832 0.616 0.713
O 0.006 0.793 0.862
O 0.044 0.213 0.158
O 0.099 0.202 0.863
O 0.146 0.471 0.377
O 0.191 0.396 0.684
O 0.299 0.172 0.749
O 0.318 0.778 0.683
O 0.334 0.542 0.225
O 0.379 0.158 0.167
O 0.468 0.924 0.224
O 0.514 0.860 0.535
O 0.598 0.137 0.068
O 0.609 0.109 0.754
O 0.638 0.493 0.070
O 0.667 0.479 0.753
O 0.689 0.869 0.845
O 0.713 0.652 0.550
O 0.714 0.772 0.234
O 0.749 0.260 0.379
O 0.925 0.052 0.550
O 0.926 0.520 0.679
O 0.935 0.653 0.378
O 0.967 0.457 0.070
O 0.975 0.808 0.161

Calculated values
VASP energy   -231.9 eV for the cell shown
M_tot   2.0 μB per formula unit
Space group   No. 1

No. 2
## MgV4O7F5 (PBE with a Hubbard U)

Data for a relaxed structure of MgV4O7F5.

Cell: 5.173 5.437 8.938 Å, 92.78 105.86 117.88°
Fractional positions:
Mg 0.000 0.000 0.000
V 0.198 0.941 0.404
V 0.273 0.558 0.920
V 0.671 0.242 0.173
V 0.733 0.704 0.650
O 0.035 0.623 0.281
O 0.327 0.876 0.031
O 0.420 0.395 0.070
O 0.553 0.158 0.333
O 0.593 0.691 0.842
O 0.861 0.820 0.496
O 0.962 0.570 0.734
F 0.037 0.094 0.784
F 0.366 0.354 0.536
F 0.445 0.887 0.586
F 0.856 0.295 0.991
F 0.955 0.056 0.219

Calculated values
VASP energy   -114.1 eV for the cell shown
M_tot   3.0 μB per formula unit
Space group   No. 1

No. 3
## LiMnSiO4 (PBE with a Hubbard U)

Data for a relaxed structure of LiMnSiO4.

Cell: 9.042 6.408 4.917 Å, 90.00 90.00 90.00°
Fractional positions:
Li 0.163 0.250 0.038
Li 0.337 0.750 0.538
Li 0.663 0.250 0.462
Li 0.837 0.750 0.962
Mn 0.000 0.000 0.500
Mn 0.000 0.500 0.500
Mn 0.500 0.000 0.000
Mn 0.500 0.500 0.000
Si 0.179 0.750 0.035
Si 0.321 0.250 0.535
Si 0.679 0.750 0.465
Si 0.821 0.250 0.965
O 0.119 0.538 0.185
O 0.119 0.962 0.185
O 0.132 0.750 0.714
O 0.136 0.250 0.599
O 0.364 0.750 0.099
O 0.368 0.250 0.214
O 0.381 0.038 0.685
O 0.381 0.462 0.685
O 0.619 0.538 0.315
O 0.619 0.962 0.315
O 0.632 0.750 0.786
O 0.636 0.250 0.901
O 0.864 0.750 0.401
O 0.868 0.250 0.286
O 0.881 0.038 0.815
O 0.881 0.462 0.815

Calculated values
VASP energy   -200.8 eV for the cell shown
M_tot   4.0 μB per formula unit
Space group   No. 62

No. 4
## FeOF (PBE with a Hubbard U)

Data for a relaxed structure of FeOF.

Cell: 9.427 3.092 14.138 Å, 90.00 90.10 90.00°
Fractional positions:
Fe 0.000 0.000 0.000
Fe 0.000 0.000 0.332
Fe 0.228 0.500 0.500
Fe 0.244 0.500 0.181
Fe 0.271 0.500 0.829
Fe 0.495 0.000 0.322
Fe 0.496 0.000 0.989
Fe 0.505 0.000 0.676
Fe 0.731 0.500 0.835
Fe 0.747 0.500 0.183
Fe 0.770 0.500 0.495
Fe 0.995 0.000 0.655
O 0.097 0.500 0.396
O 0.151 0.000 0.230
O 0.156 0.000 0.568
O 0.344 0.000 0.763
O 0.397 0.500 0.938
O 0.402 0.500 0.269
O 0.602 0.500 0.728
O 0.653 0.000 0.234
O 0.654 0.000 0.901
O 0.845 0.000 0.432
O 0.896 0.500 0.605
O 0.907 0.500 0.266
F 0.090 0.500 0.738
F 0.107 0.500 0.066
F 0.150 0.000 0.896
F 0.352 0.000 0.103
F 0.352 0.000 0.437
F 0.408 0.500 0.596
F 0.591 0.500 0.401
F 0.599 0.500 0.068
F 0.646 0.000 0.560
F 0.844 0.000 0.100
F 0.852 0.000 0.772
F 0.900 0.500 0.930

Calculated values
VASP energy   -215.9 eV for the cell shown
M_tot   4.9 μB per formula unit
Space group   No. 6

No. 5
## Na3FeP2O8 (PBE with a Hubbard U)

Data for a relaxed structure of Na3FeP2O8.

Cell: 5.258 5.258 14.074 Å, 91.76 91.76 57.88°
Fractional positions:
Na 0.049 0.951 0.750
Na 0.289 0.372 0.366
Na 0.372 0.289 0.866
Na 0.628 0.711 0.134
Na 0.711 0.628 0.634
Na 0.951 0.049 0.250
Fe 0.000 0.000 0.000
Fe 0.000 0.000 0.500
P 0.312 0.352 0.113
P 0.352 0.312 0.613
P 0.648 0.688 0.387
P 0.688 0.648 0.887
O 0.071 0.272 0.085
O 0.146 0.704 0.115
O 0.218 0.564 0.538
O 0.221 0.448 0.710
O 0.272 0.071 0.585
O 0.296 0.854 0.385
O 0.436 0.782 0.962
O 0.448 0.221 0.210
O 0.552 0.779 0.790
O 0.564 0.218 0.038
O 0.704 0.146 0.615
O 0.728 0.929 0.415
O 0.779 0.552 0.290
O 0.782 0.436 0.462
O 0.854 0.296 0.885
O 0.929 0.728 0.915

Calculated values
VASP energy   -179.8 eV for the cell shown
M_tot   5.0 μB per formula unit
Space group   No. 15

No. 6
## Li9Mn2Co5O16 (PBE with a Hubbard U)

Data for a relaxed structure of Li9Mn2Co5O16.

Cell: 2.954 9.863 10.327 Å, 73.23 82.34 88.74°
Fractional positions:
Li 0.000 0.000 0.000
Li 0.052 0.305 0.881
Li 0.193 0.936 0.624
Li 0.310 0.559 0.375
Li 0.451 0.185 0.113
Li 0.549 0.815 0.887
Li 0.690 0.441 0.625
Li 0.807 0.064 0.376
Li 0.948 0.695 0.119
Mn 0.387 0.877 0.243
Mn 0.613 0.123 0.757
Co 0.122 0.628 0.750
Co 0.245 0.247 0.499
Co 0.500 0.500 0.000
Co 0.755 0.753 0.501
Co 0.878 0.372 0.250
O 0.030 0.652 0.931
O 0.098 0.989 0.803
O 0.139 0.263 0.685
O 0.182 0.602 0.566
O 0.321 0.895 0.435
O 0.349 0.225 0.319
O 0.409 0.523 0.182
O 0.461 0.842 0.078
O 0.539 0.158 0.922
O 0.591 0.477 0.818
O 0.651 0.775 0.681
O 0.679 0.105 0.565
O 0.818 0.398 0.434
O 0.861 0.737 0.315
O 0.902 0.011 0.197
O 0.970 0.348 0.069

Calculated values
VASP energy   -186.5 eV for the cell shown
M_tot   6.0 μB per formula unit
Space group   No. 2